{
  "formula": "Na2SrAl4Si4O16",
  "functional": "PBE",
  "state": "optimized geometry",
  "lattice_angstrom": [[-4.2783, 4.9840, 8.4630], [4.2783, -4.9840, 8.4630], [4.2783, 4.9840, -8.4630]],
  "species": ["O", "O", "O", "O", "O", "O", "O", "O", "O", "O", "O", "O", "O", "O", "O", "O", "O", "O", "O", "O", "O", "O", "O", "O", "O", "O", "O", "O", "O", "O", "O", "O", "Sr", "Sr", "Si", "Si", "Si", "Si", "Si", "Si", "Si", "Si", "Al", "Al", "Al", "Al", "Al", "Al", "Al", "Al", "Na", "Na", "Na", "Na"],
  "fractional_positions": [[0.4169, 0.6235, 0.2247], [0.3987, 0.1922, 0.7753], [0.9186, 0.6504, 0.0251], [0.8422, 0.0255, 0.3700], [0.1555, 0.5255, 0.1834], [0.3753, 0.6605, 0.7197], [0.3422, 0.9722, 0.8166], [0.9810, 0.7828, 0.6498], [0.4186, 0.3935, 0.2682], [0.3519, 0.0743, 0.4336], [0.4810, 0.8313, 0.1983], [0.9583, 0.3635, 0.7004], [0.1253, 0.1504, 0.7318], [0.6632, 0.2579, 0.2996], [0.8987, 0.1235, 0.2065], [0.8753, 0.1556, 0.7147], [0.8890, 0.1485, 0.9723], [0.9169, 0.6922, 0.7935], [0.3890, 0.4167, 0.7405], [0.1330, 0.3313, 0.3502], [0.6762, 0.6485, 0.2595], [0.6330, 0.2828, 0.8017], [0.9408, 0.6556, 0.2803], [0.1407, 0.5743, 0.7223], [0.6555, 0.4722, 0.6300], [0.6407, 0.9184, 0.5664], [0.1762, 0.9167, 0.0277], [0.4408, 0.1605, 0.2853], [0.6253, 0.8935, 0.9749], [0.8519, 0.4184, 0.2777], [0.1632, 0.8635, 0.4053], [0.4583, 0.7579, 0.5947], [0.6540, 0.6540, 0.0000], [0.1540, 0.1540, 0.0000], [0.9446, 0.1699, 0.6231], [0.0469, 0.6699, 0.2253], [0.5469, 0.3216, 0.3769], [0.5531, 0.7619, 0.3184], [0.4446, 0.8216, 0.7747], [0.4435, 0.2347, 0.6816], [0.0531, 0.7347, 0.7912], [0.9435, 0.2619, 0.2088], [0.8724, 0.6327, 0.3783], [0.8608, 0.5332, 0.7728], [0.2544, 0.4941, 0.6217], [0.2605, 0.0332, 0.6724], [0.3608, 0.5880, 0.3276], [0.7605, 0.0880, 0.2272], [0.3724, 0.9941, 0.2397], [0.7544, 0.1327, 0.7603], [0.7289, 0.8628, 0.7824], [0.5804, 0.3628, 0.1339], [0.0804, 0.9465, 0.2176], [0.2289, 0.4465, 0.8661]],
  "formation_enthalpy_0k_ev_per_atom": -3.297,
  "rho_g_cm3": 2.81,
  "e_tot_ev_per_atom": -7.341,
  "spacegroup": "Iba2, No. 45"
}

{
  "formula": "Na4TaAlSi3O12",
  "functional": "PBE",
  "state": "optimized geometry",
  "lattice_angstrom": [[8.9781, 0.0000, 0.0000], [-4.4890, 7.7753, 0.0000], [0.0000, 0.0000, 22.0388]],
  "species": ["Na", "Na", "Na", "Na", "Na", "Na", "Na", "Na", "Na", "Na", "Na", "Na", "Na", "Na", "Na", "Na", "Na", "Na", "Na", "Na", "Na", "Na", "Na", "Na", "O", "O", "O", "O", "O", "O", "O", "O", "O", "O", "O", "O", "O", "O", "O", "O", "O", "O", "O", "O", "O", "O", "O", "O", "O", "O", "O", "O", "O", "O", "O", "O", "O", "O", "O", "O", "O", "O", "O", "O", "O", "O", "O", "O", "O", "O", "O", "O", "O", "O", "O", "O", "O", "O", "O", "O", "O", "O", "O", "O", "O", "O", "O", "O", "O", "O", "O", "O", "O", "O", "O", "O", "Si", "Si", "Si", "Si", "Si", "Si", "Si", "Si", "Si", "Si", "Si", "Si", "Si", "Si", "Si", "Si", "Si", "Si", "Al", "Al", "Al", "Al", "Al", "Al", "Ta", "Ta", "Ta", "Ta", "Ta", "Ta"],
  "fractional_positions": [[0.6364, 0.0091, 0.2476], [0.9909, 0.3636, 0.7476], [0.6667, 0.3333, 0.8283], [0.6364, 0.6273, 0.7476], [0.6576, 0.6969, 0.0809], [0.3333, 0.6667, 0.1616], [0.3727, 0.0091, 0.7476], [0.7060, 0.6757, 0.4143], [0.3243, 0.0303, 0.4143], [0.6667, 0.3333, 0.3283], [0.3333, 0.6667, 0.6616], [0.6576, 0.9607, 0.5809], [0.3243, 0.2940, 0.9143], [0.3031, 0.9607, 0.0809], [0.3031, 0.3424, 0.5809], [0.9909, 0.6273, 0.2476], [0.0393, 0.6969, 0.5809], [0.9697, 0.2940, 0.4143], [0.3727, 0.3636, 0.2476], [0.7060, 0.0303, 0.9143], [0.0000, 0.0000, 0.4950], [0.9697, 0.6757, 0.9143], [0.0393, 0.3424, 0.0809], [0.0000, 0.0000, 0.9950], [0.5320, 0.8317, 0.4772], [0.7993, 0.9658, 0.6918], [0.1987, 0.0337, 0.3105], [0.8547, 0.3592, 0.9222], [0.6899, 0.1729, 0.7440], [0.1496, 0.5062, 0.5773], [0.4938, 0.8504, 0.0773], [0.6899, 0.5171, 0.2440], [0.3566, 0.5062, 0.0773], [0.2997, 0.8317, 0.9772], [0.5045, 0.3592, 0.4222], [0.1665, 0.9658, 0.1918], [0.4659, 0.2991, 0.0252], [0.0342, 0.8335, 0.6918], [0.4999, 0.6325, 0.8585], [0.3675, 0.5001, 0.3585], [0.8163, 0.9768, 0.4106], [0.8163, 0.8395, 0.9106], [0.7009, 0.1668, 0.0252], [0.3074, 0.8289, 0.2555], [0.2997, 0.4680, 0.4772], [0.5016, 0.1346, 0.6439], [0.3675, 0.8674, 0.8585], [0.1605, 0.9768, 0.9106], [0.4938, 0.6434, 0.5773], [0.6330, 0.4984, 0.6439], [0.4829, 0.1729, 0.2440], [0.7009, 0.5341, 0.5252], [0.9663, 0.1650, 0.3105], [0.7993, 0.8335, 0.1918], [0.0342, 0.2007, 0.1918], [0.4659, 0.1668, 0.5252], [0.8271, 0.3101, 0.2440], [0.1711, 0.4786, 0.2555], [0.1881, 0.0259, 0.5889], [0.8547, 0.4955, 0.4222], [0.5320, 0.7003, 0.9772], [0.5016, 0.3670, 0.1439], [0.1881, 0.1622, 0.0889], [0.9741, 0.1622, 0.5889], [0.1683, 0.7003, 0.4772], [0.1326, 0.5001, 0.8585], [0.6408, 0.1453, 0.4222], [0.3566, 0.8504, 0.5773], [0.6330, 0.1346, 0.1439], [0.0232, 0.1837, 0.9106], [0.0232, 0.8395, 0.4106], [0.8378, 0.0259, 0.0889], [0.4999, 0.8674, 0.3585], [0.8654, 0.4984, 0.1439], [0.3074, 0.4786, 0.7555], [0.1711, 0.6926, 0.7555], [0.9663, 0.8013, 0.8105], [0.8332, 0.2991, 0.5252], [0.1665, 0.2007, 0.6918], [0.5045, 0.1453, 0.9222], [0.1987, 0.1650, 0.8105], [0.8350, 0.8013, 0.3105], [0.8271, 0.5171, 0.7440], [0.1605, 0.1837, 0.4106], [0.1326, 0.6325, 0.3585], [0.5214, 0.6926, 0.2555], [0.1496, 0.6434, 0.0773], [0.5214, 0.8289, 0.7555], [0.9741, 0.8119, 0.0889], [0.8332, 0.5341, 0.0252], [0.8378, 0.8119, 0.5889], [0.1683, 0.4680, 0.9772], [0.6408, 0.4955, 0.9222], [0.4829, 0.3101, 0.7440], [0.8654, 0.3670, 0.6439], [0.8350, 0.0337, 0.8105], [0.2924, 0.2858, 0.7526], [0.2924, 0.0066, 0.2526], [0.3267, 0.3742, 0.4193], [0.6601, 0.0409, 0.0859], [0.9934, 0.2858, 0.2526], [0.6601, 0.6192, 0.5859], [0.6258, 0.6733, 0.9193], [0.3808, 0.3399, 0.0859], [0.6258, 0.9525, 0.4193], [0.0475, 0.3742, 0.9193], [0.9591, 0.6192, 0.0859], [0.3267, 0.9525, 0.9193], [0.9591, 0.3399, 0.5859], [0.3808, 0.0409, 0.5859], [0.0475, 0.6733, 0.4193], [0.7142, 0.7076, 0.2526], [0.7142, 0.0066, 0.7526], [0.9934, 0.7076, 0.7526], [0.3333, 0.6667, 0.5193], [0.0000, 0.0000, 0.8526], [0.0000, 0.0000, 0.3526], [0.6667, 0.3333, 0.6860], [0.3333, 0.6667, 0.0193], [0.6667, 0.3333, 0.1860], [0.3333, 0.6667, 0.3129], [0.6667, 0.3333, 0.9796], [0.6667, 0.3333, 0.4796], [0.0000, 0.0000, 0.1462], [0.3333, 0.6667, 0.8129], [0.0000, 0.0000, 0.6462]],
  "formation_enthalpy_0k_ev_per_atom": -2.980,
  "rho_g_cm3": 3.73,
  "e_tot_ev_per_atom": -7.185
}

{
  "formula": "Na6Ta3AlSi6O24",
  "functional": "PBE",
  "state": "optimized geometry",
  "lattice_angstrom": [[8.9746, 0.0020, -0.0003], [-4.4855, 7.7742, -0.0035], [-0.0009, -0.0110, 22.2599]],
  "species": ["O", "O", "O", "O", "O", "O", "O", "O", "O", "O", "O", "O", "O", "O", "O", "O", "O", "O", "O", "O", "O", "O", "O", "O", "O", "O", "O", "O", "O", "O", "O", "O", "O", "O", "O", "O", "O", "O", "O", "O", "O", "O", "O", "O", "O", "O", "O", "O", "O", "O", "O", "O", "O", "O", "O", "O", "O", "O", "O", "O", "O", "O", "O", "O", "O", "O", "O", "O", "O", "O", "O", "O", "Na", "Na", "Na", "Na", "Na", "Na", "Na", "Na", "Na", "Na", "Na", "Na", "Na", "Na", "Na", "Na", "Na", "Na", "Si", "Si", "Si", "Si", "Si", "Si", "Si", "Si", "Si", "Si", "Si", "Si", "Si", "Si", "Si", "Si", "Si", "Si", "Ta", "Ta", "Ta", "Ta", "Ta", "Ta", "Ta", "Ta", "Ta", "Al", "Al", "Al"],
  "fractional_positions": [[0.8315, 0.5259, 0.0270], [0.1899, 0.0285, 0.5883], [0.8657, 0.4977, 0.1458], [0.1447, 0.5052, 0.5779], [0.0349, 0.2005, 0.1924], [0.8541, 0.3595, 0.9215], [0.4928, 0.8588, 0.0792], [0.4821, 0.3085, 0.7432], [0.5078, 0.6428, 0.8558], [0.1725, 0.7001, 0.4724], [0.9662, 0.1647, 0.3109], [0.8410, 0.0343, 0.0906], [0.8059, 0.8398, 0.1954], [0.1980, 0.0330, 0.3111], [0.5055, 0.1445, 0.9224], [0.6889, 0.1725, 0.7445], [0.8335, 0.7990, 0.3123], [0.1664, 0.9668, 0.1927], [0.8335, 0.8130, 0.5886], [0.5031, 0.1348, 0.6441], [0.7004, 0.1722, 0.0279], [0.4819, 0.1711, 0.2461], [0.9800, 0.8142, 0.0899], [0.9643, 0.1591, 0.5889], [0.8630, 0.3590, 0.6464], [0.3083, 0.4794, 0.7541], [0.3021, 0.4731, 0.4721], [0.1603, 0.9722, 0.9109], [0.8341, 0.3059, 0.5260], [0.1383, 0.4946, 0.8573], [0.0250, 0.8409, 0.4105], [0.6388, 0.4940, 0.9221], [0.4957, 0.3598, 0.1480], [0.1437, 0.6411, 0.0795], [0.1597, 0.4709, 0.9769], [0.5342, 0.8348, 0.4751], [0.3090, 0.8392, 0.9771], [0.1596, 0.1840, 0.4103], [0.1979, 0.1625, 0.8063], [0.3676, 0.4992, 0.3568], [0.3052, 0.8279, 0.2560], [0.5045, 0.3584, 0.4212], [0.5232, 0.6952, 0.2558], [0.3516, 0.5002, 0.0799], [0.5198, 0.8290, 0.7543], [0.9657, 0.8029, 0.8066], [0.1603, 0.1977, 0.6920], [0.4987, 0.8655, 0.3584], [0.8282, 0.3092, 0.2451], [0.0278, 0.1883, 0.9108], [0.5235, 0.6897, 0.9738], [0.4710, 0.1626, 0.5243], [0.0348, 0.8381, 0.6922], [0.6914, 0.5191, 0.2452], [0.8167, 0.9763, 0.4103], [0.6400, 0.5025, 0.6458], [0.1314, 0.6319, 0.3571], [0.7956, 0.9638, 0.6892], [0.1907, 0.1637, 0.0908], [0.1720, 0.4770, 0.2560], [0.3567, 0.8618, 0.8576], [0.8394, 0.0339, 0.8051], [0.4731, 0.2997, 0.0288], [0.1710, 0.6912, 0.7542], [0.4987, 0.6462, 0.5781], [0.3672, 0.8600, 0.5770], [0.8548, 0.4959, 0.4219], [0.6321, 0.1330, 0.1465], [0.8121, 0.8399, 0.9108], [0.6906, 0.5284, 0.5252], [0.6425, 0.1469, 0.4212], [0.8269, 0.5166, 0.7443], [0.3045, 0.9740, 0.0838], [0.9879, 0.6235, 0.2442], [0.6666, 0.3325, 0.8328], [0.6363, 0.0128, 0.2446], [0.3758, 0.3629, 0.2438], [0.9874, 0.3635, 0.7456], [0.3771, 0.0116, 0.7461], [0.0090, 0.0006, 0.4978], [0.6662, 0.9693, 0.5869], [0.3450, 0.6677, 0.1634], [0.6668, 0.3329, 0.3257], [0.9659, 0.2883, 0.4114], [0.7112, 0.6784, 0.4119], [0.3226, 0.6563, 0.6650], [0.6354, 0.6237, 0.7452], [0.3230, 0.0330, 0.4115], [0.0290, 0.3360, 0.0839], [0.9888, 0.9897, 0.9966], [0.3286, 0.3716, 0.4155], [0.7110, 0.0051, 0.7483], [0.6657, 0.0509, 0.0871], [0.7166, 0.7099, 0.2535], [0.9944, 0.7052, 0.7492], [0.0436, 0.6719, 0.4159], [0.2942, 0.2890, 0.7488], [0.6287, 0.9570, 0.4167], [0.6654, 0.6158, 0.5878], [0.6249, 0.6667, 0.9160], [0.3330, 0.9571, 0.9174], [0.9521, 0.3370, 0.5879], [0.9468, 0.6155, 0.0869], [0.2896, 0.0065, 0.2529], [0.0424, 0.3761, 0.9170], [0.3824, 0.0505, 0.5867], [0.9937, 0.2829, 0.2525], [0.3878, 0.3374, 0.0878], [0.9961, 0.9966, 0.1455], [0.3329, 0.6665, 0.3111], [0.6672, 0.3345, 0.9771], [0.3375, 0.6670, 0.0217], [0.3339, 0.6669, 0.8130], [0.6665, 0.3345, 0.4807], [0.0010, 0.0008, 0.8557], [0.0043, 0.0002, 0.6431], [0.3296, 0.6629, 0.5234], [0.6672, 0.3340, 0.6874], [0.9995, 0.9997, 0.3520], [0.6661, 0.3333, 0.1873]],
  "formation_enthalpy_0k_ev_per_atom": -3.063,
  "rho_g_cm3": 4.04,
  "e_tot_ev_per_atom": -7.615,
  "spacegroup": "P1, No. 1",
  "polymorph_energy_ev_per_fu": 0.00
}

{
  "formula": "Na6Ta3AlSi6O24",
  "functional": "PBE",
  "state": "optimized geometry",
  "lattice_angstrom": [[12.9174, 0.0520, -8.6554], [0.0084, 8.9944, -0.0410], [-0.1509, -0.0425, 8.9866]],
  "species": ["Na", "Na", "Na", "Na", "Na", "Na", "Na", "Na", "Na", "Na", "Na", "Na", "O", "O", "O", "O", "O", "O", "O", "O", "O", "O", "O", "O", "O", "O", "O", "O", "O", "O", "O", "O", "O", "O", "O", "O", "O", "O", "O", "O", "O", "O", "O", "O", "O", "O", "O", "O", "O", "O", "O", "O", "O", "O", "O", "O", "O", "O", "O", "O", "Ta", "Ta", "Ta", "Ta", "Ta", "Ta", "Al", "Al", "Si", "Si", "Si", "Si", "Si", "Si", "Si", "Si", "Si", "Si", "Si", "Si"],
  "fractional_positions": [[0.2496, 0.7499, 0.9990], [0.1893, 0.0692, 0.8042], [0.7444, 0.7471, 0.4818], [0.5049, 0.1032, 0.7651], [0.3008, 0.4350, 0.2124], [0.6893, 0.5692, 0.8042], [0.2444, 0.2471, 0.4818], [0.0049, 0.6032, 0.7651], [0.9992, 0.3747, 0.2320], [0.7496, 0.2499, 0.9990], [0.8008, 0.9350, 0.2124], [0.4992, 0.8747, 0.2320], [0.9192, 0.8541, 0.7611], [0.3491, 0.0712, 0.7611], [0.3565, 0.1406, 0.0742], [0.7415, 0.8114, 0.7622], [0.3601, 0.8480, 0.5856], [0.9289, 0.0633, 0.5640], [0.6432, 0.8637, 0.9297], [0.3526, 0.9249, 0.2617], [0.4181, 0.6420, 0.2574], [0.6394, 0.1521, 0.4134], [0.0361, 0.6687, 0.0587], [0.9623, 0.6731, 0.4308], [0.9675, 0.3296, 0.9459], [0.5369, 0.8270, 0.5676], [0.2415, 0.3114, 0.7622], [0.2436, 0.6791, 0.2537], [0.5361, 0.1687, 0.0587], [0.1523, 0.4235, 0.2386], [0.0805, 0.8572, 0.7401], [0.4675, 0.8296, 0.9459], [0.5721, 0.5792, 0.9218], [0.4192, 0.3541, 0.7611], [0.6523, 0.9235, 0.2386], [0.8526, 0.4249, 0.2617], [0.5829, 0.6524, 0.2363], [0.7436, 0.1791, 0.2537], [0.1394, 0.6521, 0.4134], [0.2558, 0.8218, 0.7460], [0.9352, 0.9258, 0.0819], [0.0721, 0.0792, 0.9218], [0.5712, 0.4388, 0.4337], [0.5805, 0.3572, 0.7401], [0.8601, 0.3480, 0.5856], [0.8565, 0.6406, 0.0742], [0.1480, 0.5754, 0.7350], [0.4289, 0.5633, 0.5640], [0.9181, 0.1420, 0.2574], [0.0369, 0.3270, 0.5676], [0.7558, 0.3218, 0.7460], [0.4623, 0.1731, 0.4308], [0.0829, 0.1524, 0.2363], [0.1432, 0.3637, 0.9297], [0.7544, 0.6912, 0.2329], [0.0712, 0.9388, 0.4337], [0.2544, 0.1911, 0.2329], [0.6480, 0.0754, 0.7350], [0.4352, 0.4258, 0.0819], [0.8491, 0.5712, 0.7611], [0.8922, 0.2501, 0.4329], [0.8937, 0.7535, 0.9287], [0.6069, 0.2521, 0.5654], [0.3937, 0.2535, 0.9287], [0.3922, 0.7501, 0.4329], [0.1069, 0.7521, 0.5654], [0.6057, 0.7473, 0.0672], [0.1057, 0.2473, 0.0672], [0.0069, 0.0437, 0.2512], [0.1436, 0.6028, 0.2404], [0.3611, 0.8868, 0.7671], [0.1436, 0.3941, 0.7535], [0.6436, 0.8941, 0.7535], [0.6436, 0.1028, 0.2404], [0.9996, 0.9690, 0.7550], [0.8611, 0.3868, 0.7671], [0.4996, 0.4690, 0.7550], [0.5069, 0.5437, 0.2512], [0.3514, 0.1075, 0.2507], [0.8514, 0.6075, 0.2507]],
  "formation_enthalpy_0k_ev_per_atom": -3.060,
  "rho_g_cm3": 4.05,
  "e_tot_ev_per_atom": -7.612,
  "polymorph_energy_ev_per_fu": 0.11
}